# 1
Li10Co3Ni7O20 | r2SCAN | relaxed

CIF file:
```
data_Li10Co3Ni7O20
_space_group_name_H-M_alt 'P 1'
_space_group_IT_number 1
_cell_length_a 2.786
_cell_length_b 11.296
_cell_length_c 11.316
_cell_angle_alpha 111.88
_cell_angle_beta 90.02
_cell_angle_gamma 97.08
loop_
_space_group_symop_operation_xyz
'x,y,z'
loop_
_atom_site_label
_atom_site_type_symbol
_atom_site_fract_x
_atom_site_fract_y
_atom_site_fract_z
O1 O 0.002 0.004 0.387
O2 O 0.395 0.799 0.917
O3 O 0.800 0.600 0.988
O4 O 0.592 0.184 0.582
O5 O 0.599 0.198 0.814
O6 O 0.012 0.017 0.120
O7 O 0.199 0.399 0.784
O8 O 0.200 0.400 0.012
O9 O 0.801 0.599 0.483
O10 O 0.998 0.996 0.613
O11 O 0.199 0.401 0.517
O12 O 0.401 0.802 0.186
O13 O 0.605 0.201 0.083
O14 O 0.803 0.616 0.719
O15 O 0.988 0.983 0.880
O16 O 0.604 0.198 0.313
O17 O 0.197 0.384 0.281
O18 O 0.396 0.802 0.687
O19 O 0.408 0.816 0.418
O20 O 0.801 0.601 0.216
Li1 Li 0.296 0.604 0.853
Li2 Li 0.303 0.602 0.351
Li3 Li 0.497 0.994 0.745
Li4 Li 0.102 0.203 0.953
Li5 Li 0.704 0.396 0.147
Li6 Li 0.104 0.197 0.444
Li7 Li 0.503 0.006 0.255
Li8 Li 0.898 0.797 0.047
Li9 Li 0.697 0.398 0.649
Li10 Li 0.896 0.803 0.556
Ni1 Ni 0.500 0.000 0.000
Ni2 Ni 0.096 0.193 0.699
Ni3 Ni 0.300 0.600 0.102
Ni4 Ni 0.700 0.400 0.898
Ni5 Ni 0.699 0.396 0.400
Ni6 Ni 0.301 0.604 0.600
Ni7 Ni 0.904 0.807 0.301
Co1 Co 0.896 0.800 0.801
Co2 Co 0.104 0.200 0.199
Co3 Co 0.500 0.000 0.500
```

Output
space group: P-1 (2)
V: 327.5 Å³ per cell
energy: -8.31 eV/atom

***

# 2
CoSO4 | r2SCAN | relaxed

CIF file:
```
data_CoSO4
_space_group_name_H-M_alt 'P 1'
_space_group_IT_number 1
_cell_length_a 4.702
_cell_length_b 4.703
_cell_length_c 6.496
_cell_angle_alpha 90.00
_cell_angle_beta 90.00
_cell_angle_gamma 113.18
loop_
_space_group_symop_operation_xyz
'x,y,z'
loop_
_atom_site_label
_atom_site_type_symbol
_atom_site_fract_x
_atom_site_fract_y
_atom_site_fract_z
O1 O 0.774 0.696 0.250
O2 O 0.696 0.773 0.750
O3 O 0.751 0.249 0.438
O4 O 0.249 0.751 0.938
O5 O 0.249 0.751 0.562
O6 O 0.226 0.304 0.750
O7 O 0.304 0.227 0.250
O8 O 0.751 0.249 0.062
Co1 Co 0.000 0.000 0.500
Co2 Co 0.000 0.000 0.000
S1 S 0.650 0.350 0.250
S2 S 0.350 0.650 0.750
```

Output
space group: Cmcm (63)
V: 132.1 Å³ per cell
energy: -8.96 eV/atom

***

# 3
BiIO | r2SCAN | relaxed

CIF file:
```
data_BiIO
_space_group_name_H-M_alt 'P 1'
_space_group_IT_number 1
_cell_length_a 4.004
_cell_length_b 4.004
_cell_length_c 9.605
_cell_angle_alpha 90.00
_cell_angle_beta 90.00
_cell_angle_gamma 90.00
loop_
_space_group_symop_operation_xyz
'x,y,z'
loop_
_atom_site_label
_atom_site_type_symbol
_atom_site_fract_x
_atom_site_fract_y
_atom_site_fract_z
O1 O 0.250 0.750 0.000
O2 O 0.750 0.250 0.000
I1 I 0.250 0.250 0.680
I2 I 0.750 0.750 0.320
Bi1 Bi 0.250 0.250 0.127
Bi2 Bi 0.750 0.750 0.873
```

Output
space group: P4/nmm (129)
V: 154.0 Å³ per cell
energy: -30.75 eV/atom

***

# 4
KCaF3 | r2SCAN | relaxed

CIF file:
```
data_KCaF3
_space_group_name_H-M_alt 'P 1'
_space_group_IT_number 1
_cell_length_a 6.128
_cell_length_b 6.221
_cell_length_c 8.716
_cell_angle_alpha 90.00
_cell_angle_beta 90.00
_cell_angle_gamma 90.00
loop_
_space_group_symop_operation_xyz
'x,y,z'
loop_
_atom_site_label
_atom_site_type_symbol
_atom_site_fract_x
_atom_site_fract_y
_atom_site_fract_z
K1 K 0.009 0.540 0.250
K2 K 0.991 0.460 0.750
K3 K 0.509 0.960 0.750
K4 K 0.491 0.040 0.250
F1 F 0.707 0.208 0.543
F2 F 0.293 0.792 0.457
F3 F 0.793 0.708 0.543
F4 F 0.918 0.971 0.250
F5 F 0.793 0.708 0.957
F6 F 0.707 0.208 0.957
F7 F 0.582 0.471 0.250
F8 F 0.418 0.529 0.750
F9 F 0.207 0.292 0.457
F10 F 0.207 0.292 0.043
F11 F 0.293 0.792 0.043
F12 F 0.082 0.029 0.750
Ca1 Ca 0.000 0.000 0.000
Ca2 Ca 0.500 0.500 0.500
Ca3 Ca 0.500 0.500 0.000
Ca4 Ca 0.000 0.000 0.500
```

Output
space group: Pnma (62)
V: 332.2 Å³ per cell
energy: -8.18 eV/atom

***

# 5
La2Ce2O7 | r2SCAN | relaxed

CIF file:
```
data_La2Ce2O7
_space_group_name_H-M_alt 'P 1'
_space_group_IT_number 1
_cell_length_a 7.904
_cell_length_b 7.904
_cell_length_c 7.904
_cell_angle_alpha 60.00
_cell_angle_beta 60.00
_cell_angle_gamma 60.00
loop_
_space_group_symop_operation_xyz
'x,y,z'
loop_
_atom_site_label
_atom_site_type_symbol
_atom_site_fract_x
_atom_site_fract_y
_atom_site_fract_z
La1 La 0.125 0.625 0.625
La2 La 0.625 0.625 0.625
La3 La 0.625 0.625 0.125
La4 La 0.625 0.125 0.625
O1 O 0.469 0.031 0.031
O2 O 0.781 0.219 0.219
O3 O 0.500 0.500 0.500
O4 O 0.781 0.219 0.781
O5 O 0.469 0.469 0.031
O6 O 0.750 0.750 0.750
O7 O 0.219 0.781 0.781
O8 O 0.219 0.781 0.219
O9 O 0.031 0.469 0.469
O10 O 0.781 0.781 0.219
O11 O 0.469 0.031 0.469
O12 O 0.031 0.031 0.469
O13 O 0.219 0.219 0.781
O14 O 0.031 0.469 0.031
Ce1 Ce 0.125 0.125 0.625
Ce2 Ce 0.625 0.125 0.125
Ce3 Ce 0.125 0.625 0.125
Ce4 Ce 0.125 0.125 0.125
```

Output
space group: Fd-3m (227)
V: 349.1 Å³ per cell
energy: -18.55 eV/atom

***

# 6
NdY3 | r2SCAN | relaxed

CIF file:
```
data_NdY3
_space_group_name_H-M_alt 'P 1'
_space_group_IT_number 1
_cell_length_a 7.355
_cell_length_b 7.355
_cell_length_c 5.899
_cell_angle_alpha 90.00
_cell_angle_beta 90.00
_cell_angle_gamma 120.00
loop_
_space_group_symop_operation_xyz
'x,y,z'
loop_
_atom_site_label
_atom_site_type_symbol
_atom_site_fract_x
_atom_site_fract_y
_atom_site_fract_z
Y1 Y 0.670 0.835 0.250
Y2 Y 0.165 0.330 0.250
Y3 Y 0.835 0.670 0.750
Y4 Y 0.165 0.835 0.250
Y5 Y 0.835 0.165 0.750
Y6 Y 0.330 0.165 0.750
Nd1 Nd 0.667 0.333 0.250
Nd2 Nd 0.333 0.667 0.750
```

Output
energy above the lowest structure with this stoichiometry: 0.0 kJ per mole of atoms
space group: P6_3/mmc (194)
V: 276.3 Å³ per cell
energy: -22.58 eV/atom

***

# 7
PmInAu2 | r2SCAN | relaxed

CIF file:
```
data_PmInAu2
_space_group_name_H-M_alt 'P 1'
_space_group_IT_number 1
_cell_length_a 4.988
_cell_length_b 4.988
_cell_length_c 4.988
_cell_angle_alpha 60.00
_cell_angle_beta 60.00
_cell_angle_gamma 60.00
loop_
_space_group_symop_operation_xyz
'x,y,z'
loop_
_atom_site_label
_atom_site_type_symbol
_atom_site_fract_x
_atom_site_fract_y
_atom_site_fract_z
Pm1 Pm 0.750 0.750 0.750
Au1 Au 0.500 0.500 0.500
Au2 Au 0.000 0.000 0.000
In1 In 0.250 0.250 0.250
```

Output
space group: Fm-3m (225)
V: 87.7 Å³ per cell
energy: -39.11 eV/atom

***

# 8
Si | r2SCAN | relaxed

CIF file:
```
data_Si
_space_group_name_H-M_alt 'P 1'
_space_group_IT_number 1
_cell_length_a 3.845
_cell_length_b 5.081
_cell_length_c 5.081
_cell_angle_alpha 81.77
_cell_angle_beta 67.77
_cell_angle_gamma 67.77
loop_
_space_group_symop_operation_xyz
'x,y,z'
loop_
_atom_site_label
_atom_site_type_symbol
_atom_site_fract_x
_atom_site_fract_y
_atom_site_fract_z
Si1 Si 0.821 0.000 0.358
Si2 Si 0.179 0.000 0.642
Si3 Si 0.179 0.642 0.000
Si4 Si 0.821 0.358 0.000
```

Output
energy above the lowest structure with this stoichiometry: 11.3 kJ per mole of atoms
space group: I4/mmm (139)
V: 85.0 Å³ per cell
energy: -8.66 eV/atom

***

# 9
Nd4GeO8 | r2SCAN | relaxed

CIF file:
```
data_Nd4GeO8
_space_group_name_H-M_alt 'P 1'
_space_group_IT_number 1
_cell_length_a 5.752
_cell_length_b 7.483
_cell_length_c 18.052
_cell_angle_alpha 90.00
_cell_angle_beta 90.00
_cell_angle_gamma 90.00
loop_
_space_group_symop_operation_xyz
'x,y,z'
loop_
_atom_site_label
_atom_site_type_symbol
_atom_site_fract_x
_atom_site_fract_y
_atom_site_fract_z
O1 O 0.771 0.250 0.384
O2 O 0.741 0.519 0.994
O3 O 0.075 0.561 0.756
O4 O 0.271 0.750 0.116
O5 O 0.807 0.250 0.116
O6 O 0.575 0.061 0.744
O7 O 0.241 0.019 0.506
O8 O 0.925 0.061 0.244
O9 O 0.229 0.750 0.616
O10 O 0.802 0.750 0.338
O11 O 0.307 0.750 0.384
O12 O 0.759 0.519 0.494
O13 O 0.241 0.481 0.506
O14 O 0.259 0.481 0.006
O15 O 0.425 0.939 0.256
O16 O 0.075 0.939 0.756
O17 O 0.759 0.981 0.494
O18 O 0.698 0.750 0.838
O19 O 0.722 0.750 0.626
O20 O 0.302 0.250 0.162
O21 O 0.925 0.439 0.244
O22 O 0.425 0.561 0.256
O23 O 0.222 0.250 0.874
O24 O 0.278 0.250 0.374
O25 O 0.729 0.250 0.884
O26 O 0.575 0.439 0.744
O27 O 0.693 0.250 0.616
O28 O 0.259 0.019 0.006
O29 O 0.741 0.981 0.994
O30 O 0.778 0.750 0.126
O31 O 0.198 0.250 0.662
O32 O 0.193 0.750 0.884
Ge1 Ge 0.009 0.250 0.191
Ge2 Ge 0.509 0.750 0.309
Ge3 Ge 0.991 0.750 0.809
Ge4 Ge 0.491 0.250 0.691
Nd1 Nd 0.958 0.250 0.782
Nd2 Nd 0.458 0.750 0.718
Nd3 Nd 0.477 0.491 0.897
Nd4 Nd 0.523 0.509 0.103
Nd5 Nd 0.519 0.250 0.486
Nd6 Nd 0.019 0.750 0.014
Nd7 Nd 0.477 0.009 0.897
Nd8 Nd 0.981 0.250 0.986
Nd9 Nd 0.042 0.750 0.218
Nd10 Nd 0.542 0.250 0.282
Nd11 Nd 0.523 0.991 0.103
Nd12 Nd 0.977 0.991 0.603
Nd13 Nd 0.977 0.509 0.603
Nd14 Nd 0.023 0.491 0.397
Nd15 Nd 0.481 0.750 0.514
Nd16 Nd 0.023 0.009 0.397
```

Output
space group: Pnma (62)
V: 777.1 Å³ per cell
energy: -17.13 eV/atom

***

# 10
HoGa4Ni | r2SCAN | relaxed

CIF file:
```
data_HoGa4Ni
_space_group_name_H-M_alt 'P 1'
_space_group_IT_number 1
_cell_length_a 4.062
_cell_length_b 6.502
_cell_length_c 7.816
_cell_angle_alpha 90.00
_cell_angle_beta 105.06
_cell_angle_gamma 90.00
loop_
_space_group_symop_operation_xyz
'x,y,z'
loop_
_atom_site_label
_atom_site_type_symbol
_atom_site_fract_x
_atom_site_fract_y
_atom_site_fract_z
Ho1 Ho 0.120 0.750 0.239
Ho2 Ho 0.880 0.250 0.761
Ga1 Ga 0.071 0.250 0.141
Ga2 Ga 0.314 0.552 0.628
Ga3 Ga 0.686 0.052 0.372
Ga4 Ga 0.500 0.500 0.000
Ga5 Ga 0.500 0.000 0.000
Ga6 Ga 0.686 0.448 0.372
Ga7 Ga 0.929 0.750 0.859
Ga8 Ga 0.314 0.948 0.628
Ni1 Ni 0.224 0.250 0.449
Ni2 Ni 0.776 0.750 0.551
```

Output
space group: Cmcm (63)
V: 199.3 Å³ per cell
energy: -15.67 eV/atom

***

# 11
TbCoO3 | r2SCAN | relaxed

CIF file:
```
data_TbCoO3
_space_group_name_H-M_alt 'P 1'
_space_group_IT_number 1
_cell_length_a 5.148
_cell_length_b 5.410
_cell_length_c 7.384
_cell_angle_alpha 90.00
_cell_angle_beta 90.00
_cell_angle_gamma 90.00
loop_
_space_group_symop_operation_xyz
'x,y,z'
loop_
_atom_site_label
_atom_site_type_symbol
_atom_site_fract_x
_atom_site_fract_y
_atom_site_fract_z
O1 O 0.906 0.523 0.750
O2 O 0.406 0.977 0.250
O3 O 0.196 0.201 0.548
O4 O 0.304 0.701 0.952
O5 O 0.196 0.201 0.952
O6 O 0.804 0.799 0.048
O7 O 0.696 0.299 0.048
O8 O 0.304 0.701 0.548
O9 O 0.696 0.299 0.452
O10 O 0.094 0.477 0.250
O11 O 0.804 0.799 0.452
O12 O 0.594 0.023 0.750
Tb1 Tb 0.517 0.568 0.250
Tb2 Tb 0.483 0.432 0.750
Tb3 Tb 0.983 0.068 0.250
Tb4 Tb 0.017 0.932 0.750
Co1 Co 0.000 0.500 0.000
Co2 Co 0.000 0.500 0.500
Co3 Co 0.500 0.000 0.500
Co4 Co 0.500 0.000 0.000
```

Output
space group: Pnma (62)
V: 205.6 Å³ per cell
energy: -15.11 eV/atom

***

# 12
Al2FeO4 | r2SCAN | relaxed

CIF file:
```
data_Al2FeO4
_space_group_name_H-M_alt 'P 1'
_space_group_IT_number 1
_cell_length_a 5.746
_cell_length_b 5.746
_cell_length_c 5.746
_cell_angle_alpha 60.00
_cell_angle_beta 60.00
_cell_angle_gamma 60.00
loop_
_space_group_symop_operation_xyz
'x,y,z'
loop_
_atom_site_label
_atom_site_type_symbol
_atom_site_fract_x
_atom_site_fract_y
_atom_site_fract_z
O1 O 0.265 0.704 0.265
O2 O 0.735 0.735 0.735
O3 O 0.265 0.265 0.704
O4 O 0.735 0.735 0.296
O5 O 0.265 0.265 0.265
O6 O 0.296 0.735 0.735
O7 O 0.735 0.296 0.735
O8 O 0.704 0.265 0.265
Al1 Al 0.500 0.000 0.500
Al2 Al 0.500 0.500 0.000
Al3 Al 0.000 0.500 0.500
Al4 Al 0.500 0.500 0.500
Fe1 Fe 0.875 0.875 0.875
Fe2 Fe 0.125 0.125 0.125
```

Output
space group: Fd-3m (227)
V: 134.2 Å³ per cell
energy: -10.13 eV/atom

***

What M_tot values result from the calculations? In sequence: 7.01 3.00 0.00 0.00 0.00 2.64 0.00 0.00 0.00 0.00 0.00 4.00 μB/f.u..
What formation energy values result from the calculations? In sequence: -37.723 -33.008 -24.813 -85.228 -86.003 0.318 -18.118 2.690 -76.967 -13.080 -60.795 -62.979 kcal/mol of atoms.